No. 1
Compound: Te2W3Se2S2
Source: the Materials Project
Functional: PBE-GGA
Structure: optimized geometry

a b c (Å): 3.3477 3.3477 31.0413
angles (deg): 90.00 90.00 120.00
Space group P3m1 (No. 156)
Symmetry-distinct sites (fractional):
Te 0.0000 0.0000 0.0000
Te 0.0000 0.0000 0.1227
W 0.0000 0.0000 0.2928
W 0.0000 0.0000 0.8300
W 0.3333 0.6667 0.0613
Se 0.3333 0.6667 0.2389
Se 0.3333 0.6667 0.3466
S 0.3333 0.6667 0.7810
S 0.3333 0.6667 0.8791

## Properties
calculated formation energy: -0.540 eV/atom
crystal system: trigonal
density: 5.7 g/cm³
corrected total energy (MP2020 scheme): -0.2666 Ha/atom
M_tot: 0.00 μB per formula unit


No. 2
Compound: TeW2SeS2
Source: the Materials Project
Functional: PBE-GGA
Structure: optimized geometry

a b c (Å): 3.3064 3.3064 37.7100
angles (deg): 90.00 90.00 120.00
Space group P3m1 (No. 156)
Symmetry-distinct sites (fractional):
Te 0.0000 0.0000 0.0000
Te 0.0000 0.0000 0.1020
W 0.0000 0.0000 0.4873
W 0.0000 0.0000 0.8630
W 0.3333 0.6667 0.0510
W 0.3333 0.6667 0.6752
Se 0.3333 0.6667 0.8182
Se 0.3333 0.6667 0.9078
S 0.0000 0.0000 0.6345
S 0.0000 0.0000 0.7159
S 0.3333 0.6667 0.4467
S 0.3333 0.6667 0.5280

## Properties
calculated formation energy: -0.680 eV/atom
crystal system: trigonal
density: 5.9 g/cm³
corrected total energy (MP2020 scheme): -0.2751 Ha/atom
M_tot: 0.00 μB per formula unit


No. 3
Compound: TeW2Se2S
Source: the Materials Project
Functional: PBE-GGA
Structure: optimized geometry

a b c (Å): 3.3423 3.3423 38.0995
angles (deg): 90.00 90.00 120.00
Space group P3m1 (No. 156)
Symmetry-distinct sites (fractional):
Te 0.0000 0.0000 0.0000
Te 0.0000 0.0000 0.1001
W 0.0000 0.0000 0.4864
W 0.0000 0.0000 0.8622
W 0.3333 0.6667 0.0501
W 0.3333 0.6667 0.6743
Se 0.0000 0.0000 0.6304
Se 0.0000 0.0000 0.7182
Se 0.3333 0.6667 0.4425
Se 0.3333 0.6667 0.5303
S 0.3333 0.6667 0.8222
S 0.3333 0.6667 0.9021

## Properties
calculated formation energy: -0.545 eV/atom
crystal system: trigonal
density: 6.2 g/cm³
corrected total energy (MP2020 scheme): -0.2662 Ha/atom
M_tot: 0.00 μB per formula unit